A:
Material: CaCrO2
Method: DFT, PBE+U
State: optimized geometry

Total magnetic moment (Bohr magnetons per cell): 0.0
Density (Mg/m³): 3.411
Space group: P-1, No. 2

The structure in extended XYZ format:
```
16
Lattice="3.126 0.000 0.000 1.466 8.724 0.000 1.540 0.506 8.858" Properties=species:S:1:pos:R:3 pbc="T T T"
Ca 0.790 2.106 0.640
Ca 2.256 5.315 2.743
Ca 3.876 3.915 6.116
Ca 5.343 7.123 8.218
Cr 2.248 6.629 5.411
Cr 2.320 1.091 6.850
Cr 3.812 8.139 2.008
Cr 3.884 2.601 3.447
O 0.782 0.620 2.342
O 2.244 6.883 1.107
O 2.319 2.885 4.842
O 2.346 3.180 2.026
O 3.786 6.050 6.832
O 3.813 6.345 4.016
O 3.888 2.347 7.751
O 5.350 8.609 6.517
```



B:
Material: CaCrO2
Method: DFT, PBE+U
State: optimized geometry

Total magnetic moment (Bohr magnetons per cell): 0.0
Density (Mg/m³): 3.927
Space group: I4_1/amd, No. 141

The structure in extended XYZ format:
```
16
Lattice="-3.107 3.107 5.434 3.107 -3.107 5.434 3.107 3.107 -5.434" Properties=species:S:1:pos:R:3 pbc="T T T"
Ca 0.000 0.000 0.000
Ca 1.554 1.554 -2.717
Ca 1.554 -1.554 2.717
Ca 0.000 3.107 0.000
Cr 3.107 0.000 0.000
Cr -1.554 1.554 2.717
Cr 0.000 0.000 5.434
Cr 1.554 1.554 2.717
O 1.728 1.554 -0.300
O 4.487 1.554 -0.300
O 0.000 0.174 2.417
O 3.107 0.174 3.017
O 0.000 2.933 2.417
O 3.107 2.933 3.017
O -1.379 1.554 5.734
O 1.379 1.554 5.734
```



The structure with the greatest stability is B.



A:
Material: CaCrO2
Method: DFT, PBE+U
State: optimized geometry

Total magnetic moment (Bohr magnetons per cell): 16.0
Density (Mg/m³): 3.261
Space group: P-1, No. 2

The structure in extended XYZ format:
```
16
Lattice="3.109 0.000 0.000 1.498 8.839 0.000 1.537 0.466 9.196" Properties=species:S:1:pos:R:3 pbc="T T T"
Ca 0.761 1.213 1.759
Ca 2.291 2.379 5.235
Ca 3.853 6.926 3.961
Ca 5.382 8.092 7.436
Cr 2.297 2.126 8.062
Cr 2.294 4.077 2.761
Cr 3.850 5.228 6.434
Cr 3.847 7.179 1.133
O 2.298 6.569 5.728
O 2.295 4.007 6.756
O 2.297 7.901 2.510
O 3.828 7.606 8.942
O 2.316 1.700 0.253
O 3.847 1.404 6.686
O 3.849 5.298 2.439
O 3.846 2.736 3.468
```



B:
Material: CaCrO2
Method: DFT, PBE+U
State: optimized geometry

Total magnetic moment (Bohr magnetons per cell): 13.5
Density (Mg/m³): 3.351
Space group: C2/m, No. 12

The structure in extended XYZ format:
```
16
Lattice="9.124 -1.549 0.000 9.124 1.549 0.000 -3.880 0.000 8.698" Properties=species:S:1:pos:R:3 pbc="T T T"
Ca -0.909 0.000 2.615
Ca 4.845 0.000 2.542
Ca 9.522 0.000 6.156
Ca 15.277 0.000 6.083
Cr 2.031 0.000 3.150
Cr 2.590 0.000 8.670
Cr 11.777 0.000 0.028
Cr 12.336 0.000 5.548
O -0.988 0.000 7.277
O 2.779 0.000 1.306
O 1.858 0.000 5.179
O 4.553 0.000 5.762
O 9.814 0.000 2.936
O 12.509 0.000 3.520
O 11.589 0.000 7.393
O 15.356 0.000 1.421
```



The structure with the greatest stability is A.



A:
Material: CaCr2O5
Method: DFT, PBE+U
State: optimized geometry

Total magnetic moment (Bohr magnetons per cell): 8.0
Density (Mg/m³): 3.595
Space group: Pmmn, No. 59

The structure in extended XYZ format:
```
16
Lattice="3.626 0.000 0.000 0.000 11.437 0.000 0.000 0.000 4.992" Properties=species:S:1:pos:R:3 pbc="T T T"
Ca 0.907 2.859 0.671
Ca 2.720 8.578 4.321
Cr 0.907 6.820 2.020
Cr 0.907 10.335 2.020
Cr 2.720 1.101 2.972
Cr 2.720 4.617 2.972
O 0.907 0.858 2.321
O 0.907 4.860 2.321
O 0.907 7.190 0.344
O 0.907 8.578 2.765
O 0.907 9.965 0.344
O 2.720 1.471 4.648
O 2.720 2.859 2.227
O 2.720 4.247 4.648
O 2.720 6.577 2.670
O 2.720 10.578 2.670
```



B:
Material: CaCr2O5
Method: DFT, PBE+U
State: optimized geometry

Total magnetic moment (Bohr magnetons per cell): 8.0
Density (Mg/m³): 3.154
Space group: Cmcm, No. 63

The structure in extended XYZ format:
```
16
Lattice="1.983 -5.498 0.000 1.983 5.498 0.000 0.000 0.000 10.816" Properties=species:S:1:pos:R:3 pbc="T T T"
Ca 1.983 4.459 8.112
Ca 1.983 -4.459 2.704
Cr 1.983 3.185 1.019
Cr 1.983 3.185 4.389
Cr 1.983 -3.185 6.428
Cr 1.983 -3.185 9.797
O 1.983 4.846 1.236
O 1.983 4.846 4.172
O 1.983 2.730 6.221
O 1.983 2.730 10.003
O 1.983 2.228 2.704
O 1.983 -2.228 8.112
O 1.983 -2.730 0.813
O 1.983 -2.730 4.595
O 1.983 -4.846 6.644
O 1.983 -4.846 9.581
```



The structure with the greatest stability is A.



A:
Material: Ca2Cr2O5
Method: DFT, PBE+U
State: optimized geometry

Total magnetic moment (Bohr magnetons per cell): 12.0
Density (Mg/m³): 3.799
Space group: Ima2, No. 46

The structure in extended XYZ format:
```
18
Lattice="-7.539 2.815 2.720 7.539 -2.815 2.720 7.539 2.815 -2.720" Properties=species:S:1:pos:R:3 pbc="T T T"
Ca 1.572 0.125 0.000
Ca 5.967 0.125 0.000
Ca 1.572 2.690 2.720
Ca 5.967 2.690 2.720
Cr 3.769 -0.375 2.936
Cr 0.000 0.000 2.672
Cr 7.539 0.000 2.672
Cr 3.769 3.190 0.216
O 11.308 0.656 -0.560
O 2.048 2.464 -0.152
O 5.491 2.464 -0.152
O -0.236 1.436 1.340
O 7.775 1.436 1.340
O 2.048 0.352 2.568
O 5.491 0.352 2.568
O -3.769 2.160 2.160
O 0.236 4.194 1.340
O -0.236 1.379 4.060
```



B:
Material: Ca2Cr2O5
Method: DFT, PBE+U
State: optimized geometry

Total magnetic moment (Bohr magnetons per cell): 12.0
Density (Mg/m³): 3.999
Space group: Pbam, No. 55

The structure in extended XYZ format:
```
18
Lattice="5.432 0.000 0.000 0.000 10.277 0.000 0.000 0.000 3.929" Properties=species:S:1:pos:R:3 pbc="T T T"
Ca 1.125 1.254 0.000
Ca 1.591 6.393 0.000
Ca 3.841 3.884 0.000
Ca 4.307 9.022 0.000
Cr 1.271 3.787 1.965
Cr 1.445 8.926 1.965
Cr 3.987 1.351 1.965
Cr 4.161 6.490 1.965
O 0.000 0.000 1.965
O 0.547 7.241 1.965
O 1.134 4.036 0.000
O 1.582 9.175 0.000
O 2.169 2.103 1.965
O 2.716 5.138 1.965
O 3.263 8.174 1.965
O 3.850 1.102 0.000
O 4.298 6.241 0.000
O 4.885 3.035 1.965
```



The structure with the greatest stability is A.



A:
Material: CaCrSi2O6
Method: DFT, PBE+U
State: optimized geometry

Total magnetic moment (Bohr magnetons per cell): 32.0
Density (Mg/m³): 3.176
Space group: Pbca, No. 61

The structure in extended XYZ format:
```
80
Lattice="5.461 0.000 0.000 0.000 19.286 0.000 0.000 0.000 9.701" Properties=species:S:1:pos:R:3 pbc="T T T"
Ca 0.643 2.385 1.421
Ca 0.643 7.258 6.271
Ca 2.087 12.028 1.421
Ca 2.087 16.901 6.271
Ca 3.374 2.385 3.430
Ca 3.374 7.258 8.281
Ca 4.818 12.028 3.430
Ca 4.818 16.901 8.281
Cr 0.688 2.414 5.092
Cr 0.688 7.229 0.242
Cr 2.042 12.057 5.092
Cr 2.042 16.872 0.242
Cr 3.419 2.414 9.460
Cr 3.419 7.229 4.609
Cr 4.773 12.057 9.460
Cr 4.773 16.872 4.609
Si 0.354 13.978 6.477
Si 0.354 14.951 1.626
Si 1.346 0.429 8.097
Si 1.346 9.214 3.247
Si 1.384 10.072 8.097
Si 1.384 18.857 3.247
Si 2.376 4.335 6.477
Si 2.376 5.308 1.626
Si 3.084 13.978 8.075
Si 3.084 14.951 3.224
Si 4.077 0.429 6.455
Si 4.077 9.214 1.604
Si 4.114 10.072 6.455
Si 4.114 18.857 1.604
Si 5.107 4.335 8.075
Si 5.107 5.308 3.224
O 0.216 10.454 6.949
O 0.216 18.475 2.099
O 0.247 13.337 1.589
O 0.247 15.592 6.440
O 0.369 13.224 5.050
O 0.369 15.705 0.200
O 0.876 3.773 7.068
O 0.876 5.870 2.218
O 1.023 10.971 9.384
O 1.023 17.958 4.533
O 1.358 10.844 3.445
O 1.358 18.085 8.296
O 1.373 1.201 3.445
O 1.373 8.442 8.296
O 1.707 1.328 9.384
O 1.707 8.315 4.533
O 1.854 13.416 7.068
O 1.854 15.513 2.218
O 2.361 3.581 5.050
O 2.361 6.062 0.200
O 2.483 3.694 1.589
O 2.483 5.949 6.440
O 2.515 0.811 6.949
O 2.515 8.832 2.099
O 2.946 10.454 7.603
O 2.946 18.475 2.752
O 2.977 13.337 3.261
O 2.977 15.592 8.112
O 3.100 13.224 9.501
O 3.100 15.705 4.651
O 3.606 3.773 7.483
O 3.606 5.870 2.633
O 3.754 10.971 5.168
O 3.754 17.958 0.317
O 4.088 10.844 1.406
O 4.088 18.085 6.256
O 4.103 1.201 1.406
O 4.103 8.442 6.256
O 4.437 1.328 5.168
O 4.437 8.315 0.317
O 4.585 13.416 7.483
O 4.585 15.513 2.633
O 5.091 3.581 9.501
O 5.091 6.062 4.651
O 5.214 3.694 3.261
O 5.214 5.949 8.112
O 5.245 0.811 7.603
O 5.245 8.832 2.752
```



B:
Material: CaCrSi2O6
Method: DFT, PBE+U
State: optimized geometry

Total magnetic moment (Bohr magnetons per cell): 0.0
Density (Mg/m³): 3.358

The structure in extended XYZ format:
```
40
Lattice="5.191 0.035 1.108 1.313 6.751 0.553 -5.182 -0.180 12.693" Properties=species:S:1:pos:R:3 pbc="T T T"
Ca -0.902 1.957 4.727
Ca -0.898 1.885 11.628
Ca 2.220 4.722 2.726
Ca 2.224 4.649 9.627
Cr -3.759 0.481 12.363
Cr -0.106 6.016 7.784
Cr 1.427 0.588 6.572
Cr 5.081 6.126 1.990
Si 1.658 1.294 3.010
Si 1.663 1.222 9.911
Si 2.015 4.154 6.159
Si -3.171 4.046 11.951
Si 4.493 2.560 2.403
Si -0.693 2.452 8.195
Si -0.341 5.385 4.444
Si -0.336 5.312 11.344
O 3.061 2.196 3.247
O -2.126 2.088 9.039
O 0.804 4.252 4.993
O 0.809 4.179 11.893
O 3.448 4.518 5.315
O -1.739 4.411 11.107
O 0.513 2.427 2.461
O 0.518 2.355 9.361
O 1.064 0.797 4.412
O 1.068 0.725 11.312
O 2.223 2.637 6.630
O -2.963 2.530 12.422
O 0.254 5.881 3.042
O 0.258 5.809 9.943
O 4.285 4.076 1.932
O -0.902 3.968 7.724
O 4.744 1.461 1.226
O -0.443 1.354 7.019
O -0.583 6.529 5.578
O -0.578 6.456 12.478
O 1.900 0.150 1.876
O 1.905 0.077 8.777
O 1.765 5.253 7.336
O -3.422 5.145 13.127
```



The structure with the greatest stability is B.



A:
Material: Ca2CrWO6
Method: DFT, PBE+U
State: optimized geometry

Total magnetic moment (Bohr magnetons per cell): 0.0
Density (Mg/m³): 5.683

The structure in extended XYZ format:
```
20
Lattice="-5.109 -0.726 1.985 -0.743 -4.179 -3.545 2.843 -4.966 5.411" Properties=species:S:1:pos:R:3 pbc="T T T"
Ca 0.224 -3.399 -0.446
Ca -0.536 -4.155 5.026
Ca -2.625 -5.690 -1.288
Ca -3.386 -6.447 4.182
Cr -0.158 -7.405 4.575
Cr 1.346 -2.471 2.648
W 2.767 -4.952 5.354
W -1.580 -4.923 1.868
O -2.520 -3.574 3.066
O 1.088 -7.782 3.009
O -4.247 -2.063 0.731
O -0.640 -6.271 0.671
O -0.311 -5.203 -1.950
O -1.074 -5.959 3.521
O -2.087 -3.886 0.216
O -2.849 -4.643 5.688
O 0.102 -3.902 1.960
O -1.400 -8.837 3.885
O 1.083 -5.973 5.265
O -3.262 -5.944 1.776
```



B:
Material: Ca2CrWO6
Method: DFT, PBE+U
State: optimized geometry

Total magnetic moment (Bohr magnetons per cell): 4.0
Density (Mg/m³): 5.729
Space group: P2_1/c, No. 14

The structure in extended XYZ format:
```
20
Lattice="5.457 0.000 0.000 0.000 5.580 0.000 -5.362 0.000 7.844" Properties=species:S:1:pos:R:3 pbc="T T T"
Ca -0.034 0.270 1.931
Ca -2.715 2.520 5.853
Ca 2.809 3.060 1.991
Ca 0.128 5.310 5.913
Cr -2.681 0.000 3.922
Cr 0.000 2.790 0.000
W 2.728 0.000 0.000
W 0.047 2.790 3.922
O -4.262 1.160 7.465
O -1.581 1.630 3.543
O -3.715 3.976 7.490
O -1.034 4.394 3.568
O -2.169 0.152 5.869
O 0.512 2.638 1.946
O -0.418 2.942 5.898
O 2.263 5.428 1.976
O 1.128 1.186 4.276
O 3.809 1.604 0.354
O 1.675 3.950 4.301
O 4.356 4.420 0.379
```



The structure with the greatest stability is B.